GGA-PBE Na10Ta7GaSi12O48, relaxed; ΔH_f (0 K) = -3070 meV per atom; magnetization = 0.000 μB/atom
1.0
8.996 0.000 0.000
-0.006 15.567 0.000
-0.009 -0.005 22.507
Na Ta Ga Si O
30 21 3 36 144
direct
0.000 0.000 0.000
0.001 0.030 0.336
0.013 0.367 0.997
0.122 0.866 0.498
0.135 0.531 0.836
0.138 0.167 0.834
0.141 0.494 0.498
0.189 0.189 0.497
0.300 0.682 0.249
0.316 0.350 0.082
0.317 0.349 0.583
0.322 0.021 0.417
0.323 0.688 0.750
0.328 0.007 0.915
0.442 0.189 0.997
0.456 0.849 0.335
0.493 0.494 0.996
0.500 0.529 0.335
0.622 0.366 0.497
0.633 0.699 0.168
0.640 0.994 0.498
0.678 0.351 0.835
0.688 0.689 0.497
0.808 0.183 0.248
0.811 0.178 0.748
0.815 0.526 0.917
0.817 0.850 0.083
0.817 0.850 0.584
0.822 0.521 0.416
0.957 0.349 0.335
0.314 0.683 0.105
0.314 0.683 0.396
0.316 0.683 0.608
0.317 0.016 0.565
0.317 0.348 0.228
0.318 0.349 0.728
0.319 0.014 0.064
0.319 0.019 0.271
0.319 0.686 0.895
0.321 0.013 0.772
0.813 0.183 0.396
0.813 0.519 0.771
0.814 0.180 0.896
0.814 0.847 0.938
0.817 0.516 0.565
0.817 0.850 0.728
0.818 0.183 0.107
0.818 0.183 0.608
0.819 0.518 0.063
0.820 0.517 0.271
0.822 0.852 0.229
0.317 0.349 0.436
0.318 0.350 0.936
0.817 0.849 0.436
0.027 0.684 0.501
0.028 0.017 0.167
0.032 0.350 0.836
0.103 0.849 0.337
0.107 0.516 0.668
0.108 0.185 0.001
0.170 0.871 0.668
0.172 0.827 0.001
0.173 0.161 0.669
0.173 0.538 0.999
0.174 0.492 0.336
0.178 0.207 0.337
0.458 0.206 0.836
0.460 0.493 0.836
0.460 0.537 0.501
0.462 0.161 0.166
0.462 0.871 0.169
0.464 0.827 0.501
0.527 0.184 0.502
0.527 0.514 0.167
0.531 0.850 0.833
0.601 0.349 0.336
0.605 0.684 0.002
0.607 0.016 0.668
0.670 0.327 0.000
0.672 0.038 0.002
0.672 0.371 0.668
0.672 0.663 0.667
0.672 0.993 0.337
0.678 0.706 0.336
0.960 0.037 0.500
0.962 0.372 0.167
0.962 0.707 0.833
0.962 0.991 0.835
0.964 0.327 0.501
0.965 0.661 0.168
0.000 0.166 0.942
0.000 0.504 0.609
0.001 0.529 0.727
0.006 0.871 0.395
0.127 0.371 0.896
0.133 0.004 0.108
0.133 0.028 0.227
0.138 0.666 0.444
0.138 0.698 0.558
0.140 0.332 0.779
0.141 0.363 0.175
0.142 0.008 0.829
0.142 0.692 0.840
0.143 0.338 0.497
0.143 0.670 0.162
0.144 0.031 0.506
0.189 0.434 0.396
0.203 0.269 0.280
0.203 0.597 0.940
0.205 0.102 0.728
0.205 0.930 0.608
0.209 0.096 0.007
0.209 0.430 0.675
0.209 0.602 0.661
0.209 0.767 0.059
0.211 0.269 0.997
0.213 0.933 0.327
0.215 0.765 0.340
0.240 0.107 0.328
0.244 0.924 0.007
0.245 0.114 0.609
0.246 0.245 0.398
0.246 0.920 0.724
0.247 0.780 0.943
0.250 0.444 0.997
0.250 0.778 0.660
0.251 0.255 0.675
0.251 0.588 0.056
0.254 0.447 0.279
0.255 0.587 0.341
0.380 0.446 0.779
0.381 0.244 0.896
0.381 0.588 0.841
0.382 0.587 0.556
0.382 0.922 0.506
0.383 0.111 0.827
0.383 0.255 0.175
0.384 0.783 0.441
0.386 0.443 0.496
0.389 0.115 0.107
0.391 0.917 0.228
0.392 0.775 0.162
0.423 0.430 0.174
0.424 0.269 0.496
0.425 0.096 0.506
0.425 0.099 0.223
0.425 0.935 0.828
0.426 0.764 0.842
0.426 0.933 0.111
0.427 0.764 0.556
0.430 0.603 0.161
0.433 0.270 0.779
0.436 0.599 0.441
0.446 0.434 0.896
0.491 0.033 0.007
0.491 0.337 0.997
0.492 0.002 0.327
0.492 0.364 0.675
0.492 0.669 0.660
0.493 0.696 0.340
0.494 0.667 0.945
0.495 0.335 0.278
0.496 0.029 0.724
0.502 0.004 0.608
0.504 0.697 0.062
0.507 0.372 0.396
0.634 0.504 0.108
0.635 0.531 0.225
0.637 0.836 0.776
0.637 0.863 0.892
0.638 0.166 0.444
0.639 0.198 0.558
0.641 0.169 0.160
0.642 0.199 0.841
0.642 0.502 0.827
0.642 0.859 0.174
0.643 0.838 0.497
0.644 0.531 0.506
0.690 0.934 0.396
0.701 0.101 0.944
0.702 0.767 0.277
0.704 0.595 0.007
0.706 0.431 0.609
0.707 0.263 0.056
0.709 0.102 0.660
0.709 0.600 0.723
0.709 0.931 0.673
0.712 0.433 0.326
0.712 0.768 0.995
0.715 0.266 0.340
0.740 0.607 0.328
0.744 0.418 0.727
0.744 0.615 0.608
0.746 0.746 0.397
0.749 0.756 0.673
0.750 0.277 0.661
0.751 0.283 0.942
0.751 0.422 0.007
0.752 0.084 0.058
0.752 0.947 0.279
0.753 0.945 0.995
0.755 0.087 0.341
0.880 0.754 0.175
0.882 0.422 0.506
0.883 0.087 0.556
0.884 0.278 0.161
0.884 0.284 0.442
0.884 0.615 0.111
0.886 0.943 0.496
0.886 0.946 0.777
0.888 0.752 0.892
0.889 0.418 0.226
0.890 0.090 0.841
0.892 0.609 0.828
0.921 0.434 0.827
0.923 0.769 0.496
0.925 0.102 0.161
0.925 0.264 0.841
0.925 0.931 0.174
0.926 0.596 0.506
0.927 0.264 0.557
0.927 0.432 0.109
0.927 0.601 0.225
0.927 0.766 0.776
0.930 0.936 0.895
0.935 0.099 0.441
0.992 0.528 0.007
0.992 0.863 0.673
0.993 0.169 0.660
0.993 0.196 0.341
0.993 0.502 0.327
0.993 0.841 0.996
0.994 0.197 0.057
0.996 0.836 0.278